CeMgTl after structural relaxation, computed with r²SCAN.

Lattice parameters (Å, degrees): 7.7639 7.7629 4.7951 90.00 90.00 120.00
Atoms (fractional coordinates):
Tl1 0.0000 0.9999 0.0000
Ce1 0.0000 0.4266 0.0000
Mg1 0.2408 0.2407 0.5000
Mg2 0.7592 0.0000 0.5000
Tl2 0.6666 0.3334 0.5000
Ce2 0.4267 0.0001 0.0000
Tl3 0.3333 0.6667 0.5000
Mg3 0.0000 0.7593 0.5000
Ce3 0.5733 0.5733 0.0000

space group	No. 189
E	-29.80	eV/atom